Computed, not measured: a geometry-optimized FeP4 structure at the PBE level of DFT.

a = 5.7880 Å, b = 5.7880 Å, c = 11.0940 Å
α = 89.58°, β = 89.58°, γ = 128.20°
Fractional positions:
Fe (0.0759, 0.9241, 0.2500)
Fe (0.9241, 0.0759, 0.7500)
Fe (0.0000, 0.5000, 0.5000)
Fe (0.5000, 0.0000, 0.0000)
P (0.5432, 0.3368, 0.5241)
P (0.3368, 0.5432, 0.0241)
P (0.8685, 0.0550, 0.5500)
P (0.9450, 0.1315, 0.9500)
P (0.4568, 0.6632, 0.4759)
P (0.3708, 0.2263, 0.7159)
P (0.2263, 0.3708, 0.2159)
P (0.0550, 0.8685, 0.0500)
P (0.5302, 0.0660, 0.2070)
P (0.6292, 0.7737, 0.2841)
P (0.6632, 0.4568, 0.9759)
P (0.7737, 0.6292, 0.7841)
P (0.0660, 0.5302, 0.7070)
P (0.1315, 0.9450, 0.4500)
P (0.9340, 0.4698, 0.2930)
P (0.4698, 0.9340, 0.7930)

## Properties
The value obtained for the calculated total energy is -6.396 eV per atom. The value obtained for the calculated volume is 292.02 Å³/cell. The formation energy is -0.37 eV/atom.

---

Computed, not measured: a geometry-optimized ErLuRu2 structure at the PBE level of DFT.

a = 4.7469 Å, b = 4.7469 Å, c = 4.7469 Å
α = 60.00°, β = 60.00°, γ = 60.00°
Fractional positions:
Er (0.0000, 0.0000, 0.0000)
Lu (0.5000, 0.5000, 0.5000)
Ru (0.7500, 0.7500, 0.7500)
Ru (0.2500, 0.2500, 0.2500)

## Properties
The value obtained for the calculated total energy is -7.336 eV per atom. The value obtained for the calculated volume is 75.63 Å³/cell. The formation energy is -0.43 eV/atom.

---

Computed, not measured: a geometry-optimized LiDyGe structure at the PBE level of DFT.

a = 7.0597 Å, b = 7.0597 Å, c = 4.2737 Å
α = 90.00°, β = 90.00°, γ = 120.00°
Fractional positions:
Li (0.7652, 0.7652, 0.5000)
Li (0.2348, 0.0000, 0.5000)
Li (0.0000, 0.2348, 0.5000)
Dy (0.4210, 0.4210, 0.0000)
Dy (0.5790, 0.0000, 0.0000)
Dy (0.0000, 0.5790, 0.0000)
Ge (0.0000, 0.0000, 0.0000)
Ge (0.6667, 0.3333, 0.5000)
Ge (0.3333, 0.6667, 0.5000)

## Properties
The value obtained for the calculated total energy is -4.427 eV per atom. The value obtained for the calculated volume is 184.46 Å³/cell. The formation energy is -0.71 eV/atom.

---

Computed, not measured: a geometry-optimized Er2Si3Ni structure at the PBE level of DFT.

a = 4.0070 Å, b = 4.0070 Å, c = 7.8690 Å
α = 90.00°, β = 90.00°, γ = 120.00°
Fractional positions:
Er (0.3333, 0.6667, 0.7398)
Er (0.3333, 0.6667, 0.2602)
Si (0.6667, 0.3333, 0.0000)
Si (0.0000, 0.0000, 0.5000)
Si (0.0000, 0.0000, 0.0000)
Ni (0.6667, 0.3333, 0.5000)

## Properties
The value obtained for the calculated total energy is -5.872 eV per atom. The value obtained for the calculated volume is 109.42 Å³/cell. The formation energy is -0.67 eV/atom.

---

Computed, not measured: a geometry-optimized Ca3Zn2Cu2P4 structure at the PBE level of DFT.

a = 4.0422 Å, b = 4.0422 Å, c = 14.7115 Å
α = 90.00°, β = 90.00°, γ = 120.00°
Fractional positions:
Ca (0.0000, 0.0000, 0.7320)
Ca (0.0000, 0.0000, 0.0000)
Ca (0.0000, 0.0000, 0.2680)
Zn (0.3333, 0.6667, 0.4382)
Zn (0.6667, 0.3333, 0.5618)
Cu (0.3333, 0.6667, 0.8646)
Cu (0.6667, 0.3333, 0.1354)
P (0.3333, 0.6667, 0.1341)
P (0.6667, 0.3333, 0.8659)
P (0.3333, 0.6667, 0.6106)
P (0.6667, 0.3333, 0.3894)

## Properties
The value obtained for the calculated total energy is -4.280 eV per atom. The value obtained for the calculated volume is 208.17 Å³/cell. The formation energy is -0.79 eV/atom.

---

Computed, not measured: a geometry-optimized Ca2CdPd2 structure at the PBE level of DFT.

a = 5.7491 Å, b = 5.7491 Å, c = 5.7491 Å
α = 133.88°, β = 117.72°, γ = 80.90°
Fractional positions:
Ca (0.7012, 0.2012, 0.5000)
Ca (0.2988, 0.7988, 0.5000)
Cd (0.0000, 0.0000, 0.0000)
Pd (0.7285, 0.5000, 0.2285)
Pd (0.2715, 0.5000, 0.7715)

## Properties
The value obtained for the calculated total energy is -3.721 eV per atom. The value obtained for the calculated volume is 117.17 Å³/cell. The formation energy is -0.66 eV/atom.

---

Computed, not measured: a geometry-optimized ErCo9Si4 structure at the PBE level of DFT.

a = 7.8831 Å, b = 7.8831 Å, c = 7.8831 Å
α = 121.70°, β = 121.70°, γ = 87.07°
Fractional positions:
Er (0.2500, 0.2500, 0.0000)
Er (0.7500, 0.7500, 0.0000)
Co (0.5000, 0.0000, 0.5000)
Co (0.0000, 0.5000, 0.5000)
Co (0.3128, 0.8128, 0.7640)
Co (0.6872, 0.1872, 0.2360)
Co (0.0488, 0.5488, 0.2360)
Co (0.8128, 0.0488, 0.5000)
Co (0.4512, 0.6872, 0.5000)
Co (0.9512, 0.4512, 0.7640)
Co (0.1872, 0.9512, 0.5000)
Co (0.5488, 0.3128, 0.5000)
Co (0.1976, 0.0703, 0.2679)
Co (0.8024, 0.9297, 0.7321)
Co (0.0703, 0.8024, 0.8727)
Co (0.6976, 0.4297, 0.1273)
Co (0.9297, 0.1976, 0.1273)
Co (0.3024, 0.5703, 0.8727)
Co (0.5703, 0.6976, 0.2679)
Co (0.4297, 0.3024, 0.7321)
Si (0.7907, 0.2907, 0.8360)
Si (0.2093, 0.7093, 0.1640)
Si (0.4547, 0.9547, 0.1640)
Si (0.2907, 0.4547, 0.5000)
Si (0.0453, 0.2093, 0.5000)
Si (0.5453, 0.0453, 0.8360)
Si (0.7093, 0.5453, 0.5000)
Si (0.9547, 0.7907, 0.5000)

## Properties
The value obtained for the calculated total energy is -6.933 eV per atom. The value obtained for the calculated volume is 337.00 Å³/cell. The formation energy is -0.47 eV/atom.

---

Computed, not measured: a geometry-optimized CeSi2Ru structure at the PBE level of DFT.

a = 4.0870 Å, b = 4.4521 Å, c = 8.2439 Å
α = 77.27°, β = 90.00°, γ = 90.00°
Fractional positions:
Ce (0.2500, 0.5892, 0.8008)
Ce (0.7500, 0.4108, 0.1992)
Si (0.2500, 0.9618, 0.0884)
Si (0.7500, 0.0382, 0.9116)
Si (0.2500, 0.3348, 0.4921)
Si (0.7500, 0.6652, 0.5079)
Ru (0.2500, 0.8860, 0.3858)
Ru (0.7500, 0.1140, 0.6142)

## Properties
The value obtained for the calculated total energy is -7.337 eV per atom. The value obtained for the calculated volume is 146.31 Å³/cell. The formation energy is -0.82 eV/atom.